# UNbN2

A relaxed UNbN2 crystal (PBE, the Materials Project database).

## Properties
Electronic total energy in eV/atom: -10.810
Density in g/cm³: 11.726

Cell lengths 3.2408, 5.6717, 11.0620 Å; angles 90.00, 90.00, 90.00 degrees
Closest atoms and distances in Å follow each position.
Atoms (fractional coordinates):
1 N 0.7500 0.2323 0.4970  3 Nb 2.23-2.26, 3 U 2.35-2.46
2 N 0.2500 0.6610 0.2444  2 Nb 2.18, 2 U 2.38
3 N 0.2500 0.1610 0.2556  2 Nb 2.18, 2 U 2.38
4 N 0.7500 0.7323 0.0030  3 Nb 2.23-2.26, 3 U 2.35-2.46
5 N 0.2500 0.2677 0.9970  3 Nb 2.23-2.26, 3 U 2.35-2.46
6 N 0.2500 0.7677 0.5030  3 Nb 2.23-2.26, 3 U 2.35-2.46
7 N 0.7500 0.8390 0.7444  2 Nb 2.18, 2 U 2.38
8 N 0.7500 0.3390 0.7556  2 Nb 2.18, 2 U 2.38
9 U 0.2500 0.0774 0.6441  7 N 2.35-2.52
10 U 0.7500 0.4226 0.1441  7 N 2.35-2.52
11 U 0.7500 0.9226 0.3559  7 N 2.35-2.52
12 U 0.2500 0.5774 0.8559  7 N 2.35-2.52
13 Nb 0.7500 0.0759 0.8999  5 N 2.18-2.26
14 Nb 0.2500 0.9241 0.1001  5 N 2.18-2.26
15 Nb 0.2500 0.4241 0.3999  5 N 2.18-2.26
16 Nb 0.7500 0.5759 0.6001  5 N 2.18-2.26